Entry 1:
Material: Mn5O3F5
Method: DFT, GGA+U
State: relaxed

abc: 10.980 6.470 11.078
angles: 90.00 108.71 90.00
Space group Cc (No. 9)
Inequivalent atoms, fractional coordinates:
1 Mn 0.000 0.002 0.000 (multiplicity 4)
2 Mn 0.009 0.495 0.005 (multiplicity 4)
3 Mn 0.148 0.255 0.304 (multiplicity 4)
4 Mn 0.236 0.235 0.992 (multiplicity 4)
5 Mn 0.499 0.257 0.255 (multiplicity 4)
6 O 0.100 0.267 0.104 (multiplicity 4)
7 O 0.102 0.475 0.886 (multiplicity 4)
8 O 0.108 0.015 0.876 (multiplicity 4)
9 F 0.104 0.249 0.620 (multiplicity 4)
10 F 0.361 0.261 0.370 (multiplicity 4)
11 F 0.374 0.451 0.109 (multiplicity 4)
12 F 0.391 0.022 0.110 (multiplicity 4)
13 F 0.394 0.219 0.905 (multiplicity 4)

Computed properties:
Formation enthalpy at 0 K   -2.4758 eV per atom
Energy relative to the lowest polymorph listed for this composition   0.03 eV per formula unit

=====

Entry 2:
Material: Li3Co2Si2O8
Method: DFT, GGA+U
State: relaxed

abc: 5.222 11.050 6.129
angles: 90.00 90.76 90.00
Space group P2_1 (No. 4)
Inequivalent atoms, fractional coordinates:
1 Li 0.046 0.000 0.241 (multiplicity 2)
2 Li 0.055 0.001 0.756 (multiplicity 2)
3 Li 0.451 0.661 0.743 (multiplicity 2)
4 Co 0.078 0.752 0.014 (multiplicity 2)
5 Co 0.440 0.907 0.501 (multiplicity 2)
6 Si 0.063 0.247 0.495 (multiplicity 2)
7 Si 0.436 0.410 0.004 (multiplicity 2)
8 O 0.005 0.673 0.283 (multiplicity 2)
9 O 0.044 0.673 0.723 (multiplicity 2)
10 O 0.062 0.887 0.496 (multiplicity 2)
11 O 0.118 0.408 0.002 (multiplicity 2)
12 O 0.380 0.261 0.472 (multiplicity 2)
13 O 0.444 0.775 0.996 (multiplicity 2)
14 O 0.456 0.984 0.775 (multiplicity 2)
15 O 0.464 0.987 0.218 (multiplicity 2)

Computed properties:
Formation enthalpy at 0 K   -2.3882 eV per atom
Energy relative to the lowest polymorph listed for this composition   0.32 eV per formula unit

=====

Entry 3:
Material: CrP2H13N2O10
Method: DFT, GGA+U
State: relaxed

abc: 7.166 8.505 9.706
angles: 107.03 99.05 102.55
Space group P-1 (No. 2)
Inequivalent atoms, fractional coordinates:
1 Cr 0.238 0.303 0.211 (multiplicity 2)
2 P 0.218 0.952 0.274 (multiplicity 2)
3 P 0.394 0.826 0.702 (multiplicity 2)
4 H 0.012 0.338 0.403 (multiplicity 2)
5 H 0.047 0.709 0.004 (multiplicity 2)
6 H 0.112 0.304 0.735 (multiplicity 2)
7 H 0.142 0.748 0.871 (multiplicity 2)
8 H 0.172 0.529 0.438 (multiplicity 2)
9 H 0.217 0.082 0.948 (multiplicity 2)
10 H 0.220 0.205 0.624 (multiplicity 2)
11 H 0.224 0.914 0.494 (multiplicity 2)
12 H 0.239 0.382 0.496 (multiplicity 2)
13 H 0.281 0.626 0.203 (multiplicity 2)
14 H 0.297 0.274 0.939 (multiplicity 2)
15 H 0.447 0.190 0.027 (multiplicity 2)
16 H 0.498 0.406 0.767 (multiplicity 2)
17 N 0.156 0.400 0.409 (multiplicity 2)
18 N 0.306 0.202 0.007 (multiplicity 2)
19 O 0.019 0.682 0.894 (multiplicity 2)
20 O 0.125 0.063 0.201 (multiplicity 2)
21 O 0.126 0.761 0.194 (multiplicity 2)
22 O 0.208 0.007 0.441 (multiplicity 2)
23 O 0.233 0.794 0.565 (multiplicity 2)
24 O 0.240 0.311 0.706 (multiplicity 2)
25 O 0.326 0.847 0.845 (multiplicity 2)
26 O 0.358 0.542 0.208 (multiplicity 2)
27 O 0.448 0.987 0.270 (multiplicity 2)
28 O 0.490 0.308 0.330 (multiplicity 2)

Computed properties:
Formation enthalpy at 0 K   -1.4969 eV per atom